Record 1
Below is an optimized crystal structure of Li6MnV3P6O24, with properties calculated at the PBE with a Hubbard U level.

Summary:
V in Å³ per cell: 1729.10
Energy relative to the lowest polymorph listed for this composition in meV per atom: 36

Cell and atoms, written as CIF:
```
data_Li6MnV3P6O24
_symmetry_space_group_name_H-M 'C 1 2 1'
_symmetry_Int_Tables_number 5
_cell_length_a 11.7119
_cell_length_b 12.7158
_cell_length_c 12.7096
_cell_angle_alpha 90.00
_cell_angle_beta 114.00
_cell_angle_gamma 90.00
loop_
_symmetry_equiv_pos_as_xyz
'x,y,z'
'-x,y,-z'
'x+1/2,y+1/2,z'
'-x+1/2,y+1/2,-z'
loop_
_atom_site_label
_atom_site_type_symbol
_atom_site_fract_x
_atom_site_fract_y
_atom_site_fract_z
_atom_site_occupancy
Li1 Li 0.0000 0.0000 0.0000 1
Li2 Li 0.0000 0.0010 0.5000 1
Li3 Li 0.0001 0.2128 0.1269 1
Li4 Li 0.0000 0.7089 0.5000 1
Li5 Li 0.0000 0.7143 0.0000 1
Li6 Li 0.0009 0.2131 0.6246 1
Li7 Li 0.0016 0.4241 0.2513 1
Li8 Li 0.0038 0.7164 0.2501 1
Mn1 Mn 0.2156 0.5544 0.1905 1
V1 V 0.2178 0.8733 0.9452 1
V2 V 0.2177 0.8744 0.4460 1
V3 V 0.2190 0.5517 0.6943 1
P1 P 0.0000 0.4255 0.5000 1
P2 P 0.0000 0.4260 0.0000 1
P3 P 0.0022 0.9997 0.7500 1
P4 P 0.2343 0.8166 0.1926 1
P5 P 0.2365 0.8108 0.6929 1
P6 P 0.2384 0.6123 0.4411 1
P7 P 0.2376 0.6126 0.9442 1
O1 O 0.0427 0.9293 0.3590 1
O2 O 0.0435 0.9302 0.8593 1
O3 O 0.0443 0.4957 0.6090 1
O4 O 0.0462 0.4959 0.1104 1
O5 O 0.0974 0.0774 0.2431 1
O6 O 0.0984 0.3509 0.9880 1
O7 O 0.0996 0.3494 0.4908 1
O8 O 0.1035 0.0744 0.7408 1
O9 O 0.1233 0.1328 0.5240 1
O10 O 0.1242 0.1334 0.0217 1
O11 O 0.1246 0.2921 0.2733 1
O12 O 0.1281 0.2924 0.7737 1
O13 O 0.1478 0.7191 0.1764 1
O14 O 0.1550 0.7085 0.6730 1
O15 O 0.1560 0.7133 0.9319 1
O16 O 0.1567 0.7135 0.4271 1
O17 O 0.1755 0.5511 0.3247 1
O18 O 0.1754 0.5507 0.8294 1
O19 O 0.1754 0.8764 0.5801 1
O20 O 0.1754 0.8814 0.0790 1
O21 O 0.2205 0.8781 0.7891 1
O22 O 0.2242 0.5372 0.0388 1
O23 O 0.2235 0.5379 0.5347 1
O24 O 0.2241 0.8905 0.2887 1
```


Record 2
Below is an optimized crystal structure of Li2MnVP4O14, with properties calculated at the PBE with a Hubbard U level.

Summary:
V in Å³ per cell: 538.16
Energy relative to the lowest polymorph listed for this composition in meV per atom: 12

Cell and atoms, written as CIF:
```
data_Li2MnVP4O14
_symmetry_space_group_name_H-M 'P 1'
_symmetry_Int_Tables_number 1
_cell_length_a 7.1581
_cell_length_b 9.6115
_cell_length_c 9.6149
_cell_angle_alpha 119.31
_cell_angle_beta 100.49
_cell_angle_gamma 100.46
loop_
_symmetry_equiv_pos_as_xyz
'x,y,z'
loop_
_atom_site_label
_atom_site_type_symbol
_atom_site_fract_x
_atom_site_fract_y
_atom_site_fract_z
_atom_site_occupancy
Li1 Li 0.0000 0.0000 0.0000 1
Li2 Li 0.0007 0.5034 0.5034 1
Li3 Li 0.3492 0.7513 0.2511 1
Li4 Li 0.3509 0.2503 0.7510 1
Mn1 Mn 0.4057 0.0786 0.9418 1
Mn2 Mn 0.9449 0.8128 0.1746 1
V1 V 0.4025 0.5765 0.4376 1
V2 V 0.9467 0.3129 0.6749 1
P1 P 0.1520 0.3490 0.0303 1
P2 P 0.1583 0.8514 0.5341 1
P3 P 0.1934 0.7199 0.9022 1
P4 P 0.1967 0.2196 0.4016 1
P5 P 0.5859 0.7765 0.8516 1
P6 P 0.5886 0.2752 0.3523 1
P7 P 0.7621 0.4036 0.9769 1
P8 P 0.7634 0.8981 0.4764 1
O1 O 0.0668 0.0534 0.2382 1
O2 O 0.0707 0.5507 0.7381 1
O3 O 0.1559 0.7336 0.0607 1
O4 O 0.1575 0.2371 0.5604 1
O5 O 0.1673 0.3620 0.8805 1
O6 O 0.1699 0.8654 0.8862 1
O7 O 0.1802 0.8686 0.3885 1
O8 O 0.1816 0.3704 0.3886 1
O9 O 0.1929 0.1918 0.0160 1
O10 O 0.1928 0.6915 0.5163 1
O11 O 0.2794 0.5130 0.1971 1
O12 O 0.2843 0.0150 0.7032 1
O13 O 0.4259 0.7262 0.9326 1
O14 O 0.4273 0.2240 0.4327 1
O15 O 0.5212 0.6325 0.6672 1
O16 O 0.5307 0.1316 0.1686 1
O17 O 0.5608 0.3041 0.9607 1
O18 O 0.5632 0.7937 0.4611 1
O19 O 0.5862 0.9453 0.8701 1
O20 O 0.5911 0.4430 0.3715 1
O21 O 0.7596 0.8794 0.3071 1
O22 O 0.7625 0.3840 0.8082 1
O23 O 0.7873 0.7916 0.9503 1
O24 O 0.7885 0.2918 0.4572 1
O25 O 0.8220 0.0814 0.6172 1
O26 O 0.8251 0.5878 0.1219 1
O27 O 0.9212 0.3204 0.0271 1
O28 O 0.9255 0.8200 0.5274 1
```


Record 3
Below is an optimized crystal structure of Li3MnVP3O12, with properties calculated at the PBE with a Hubbard U level.

Summary:
V in Å³ per cell: 486.09
Energy relative to the lowest polymorph listed for this composition in meV per atom: 22

Cell and atoms, written as CIF:
```
data_Li3MnVP3O12
_symmetry_space_group_name_H-M 'P 1'
_symmetry_Int_Tables_number 1
_cell_length_a 8.3615
_cell_length_b 8.4358
_cell_length_c 9.2495
_cell_angle_alpha 63.20
_cell_angle_beta 63.80
_cell_angle_gamma 60.47
loop_
_symmetry_equiv_pos_as_xyz
'x,y,z'
loop_
_atom_site_label
_atom_site_type_symbol
_atom_site_fract_x
_atom_site_fract_y
_atom_site_fract_z
_atom_site_occupancy
Li1 Li 0.0000 0.0000 0.0000 1
Li2 Li 0.0895 0.5150 0.7799 1
Li3 Li 0.2592 0.5091 0.4602 1
Li4 Li 0.5018 0.9442 0.4891 1
Li5 Li 0.6239 0.5824 0.2338 1
Li6 Li 0.8153 0.1771 0.5166 1
Mn1 Mn 0.4141 0.1007 0.8120 1
Mn2 Mn 0.6910 0.3964 0.9424 1
V1 V 0.2193 0.9157 0.4026 1
V2 V 0.9040 0.5955 0.3396 1
P1 P 0.0090 0.3023 0.1371 1
P2 P 0.1046 0.2052 0.6164 1
P3 P 0.2906 0.7153 0.1260 1
P4 P 0.5018 0.5177 0.6171 1
P5 P 0.6062 0.9882 0.1297 1
P6 P 0.8290 0.7829 0.6170 1
O1 O 0.0256 0.4251 0.2124 1
O2 O 0.0468 0.7590 0.5440 1
O3 O 0.0532 0.0937 0.2666 1
O4 O 0.0690 0.0893 0.5470 1
O5 O 0.0703 0.4153 0.4912 1
O6 O 0.0741 0.7336 0.1962 1
O7 O 0.1524 0.2968 0.9652 1
O8 O 0.2924 0.8848 0.9664 1
O9 O 0.3152 0.1185 0.6157 1
O10 O 0.3407 0.7330 0.2656 1
O11 O 0.3822 0.4112 0.6370 1
O12 O 0.3863 0.7386 0.5433 1
O13 O 0.4127 0.0338 0.2774 1
O14 O 0.4263 0.5179 0.1120 1
O15 O 0.5329 0.4823 0.7779 1
O16 O 0.5708 0.0173 0.9718 1
O17 O 0.6957 0.4619 0.4748 1
O18 O 0.7001 0.9876 0.6240 1
O19 O 0.7184 0.1014 0.1045 1
O20 O 0.7205 0.7680 0.2056 1
O21 O 0.7707 0.7531 0.4909 1
O22 O 0.8013 0.3793 0.1366 1
O23 O 0.8148 0.6263 0.7858 1
O24 O 0.9661 0.2108 0.7912 1
```


Record 4
Below is an optimized crystal structure of Li3MnVP3O12, with properties calculated at the PBE with a Hubbard U level.

Summary:
V in Å³ per cell: 957.69
Energy relative to the lowest polymorph listed for this composition in meV per atom: 54

Cell and atoms, written as CIF:
```
data_Li3MnVP3O12
_symmetry_space_group_name_H-M 'P 1'
_symmetry_Int_Tables_number 1
_cell_length_a 9.8477
_cell_length_b 9.8608
_cell_length_c 9.9014
_cell_angle_alpha 85.79
_cell_angle_beta 87.77
_cell_angle_gamma 88.03
loop_
_symmetry_equiv_pos_as_xyz
'x,y,z'
loop_
_atom_site_label
_atom_site_type_symbol
_atom_site_fract_x
_atom_site_fract_y
_atom_site_fract_z
_atom_site_occupancy
Li1 Li 0.0000 0.0000 0.0000 1
Li2 Li 0.0298 0.7489 0.1321 1
Li3 Li 0.0959 0.0565 0.7367 1
Li4 Li 0.1859 0.5733 0.6490 1
Li5 Li 0.3160 0.7733 0.4415 1
Li6 Li 0.4119 0.3587 0.7775 1
Li7 Li 0.4750 0.4641 0.5018 1
Li8 Li 0.5109 0.6569 0.2283 1
Li9 Li 0.6834 0.1590 0.0592 1
Li10 Li 0.7178 0.4299 0.3707 1
Li11 Li 0.8108 0.9565 0.2673 1
Li12 Li 0.8977 0.2832 0.8534 1
Mn1 Mn 0.4798 0.9896 0.7621 1
Mn2 Mn 0.7003 0.7747 0.7435 1
Mn3 Mn 0.9219 0.7546 0.5272 1
Mn4 Mn 0.9764 0.2618 0.4752 1
V1 V 0.1995 0.2644 0.2549 1
V2 V 0.2059 0.4886 0.0368 1
V3 V 0.4159 0.0498 0.2533 1
V4 V 0.7034 0.5571 0.9632 1
P1 P 0.0020 0.6998 0.8534 1
P2 P 0.0967 0.9641 0.3268 1
P3 P 0.1170 0.5596 0.3553 1
P4 P 0.2738 0.1760 0.9545 1
P5 P 0.3050 0.1884 0.5535 1
P6 P 0.4042 0.6657 0.8264 1
P7 P 0.5027 0.3693 0.1737 1
P8 P 0.5988 0.8396 0.4471 1
P9 P 0.6147 0.8727 0.0529 1
P10 P 0.7810 0.4663 0.6489 1
P11 P 0.8000 0.0670 0.6745 1
P12 P 0.9019 0.3492 0.1405 1
O1 O 0.0129 0.9218 0.2097 1
O2 O 0.0381 0.8147 0.9381 1
O3 O 0.0427 0.7165 0.6997 1
O4 O 0.0450 0.8946 0.4649 1
O5 O 0.0638 0.3512 0.1234 1
O6 O 0.0652 0.5616 0.9066 1
O7 O 0.0699 0.1224 0.3307 1
O8 O 0.1140 0.3976 0.3829 1
O9 O 0.1499 0.1863 0.5862 1
O10 O 0.1503 0.5995 0.2021 1
O11 O 0.1528 0.1028 0.9087 1
O12 O 0.2240 0.6058 0.4484 1
O13 O 0.2510 0.9269 0.3160 1
O14 O 0.2595 0.3339 0.9209 1
O15 O 0.2788 0.1406 0.1153 1
O16 O 0.3320 0.1853 0.3921 1
O17 O 0.3420 0.3942 0.1737 1
O18 O 0.3479 0.6175 0.9686 1
O19 O 0.3634 0.0508 0.6182 1
O20 O 0.3635 0.5706 0.7202 1
O21 O 0.3680 0.8170 0.7933 1
O22 O 0.3717 0.3137 0.5965 1
O23 O 0.4129 0.1377 0.8883 1
O24 O 0.4781 0.9097 0.1244 1
O25 O 0.5095 0.7274 0.4032 1
O26 O 0.5386 0.2143 0.1918 1
O27 O 0.5465 0.4534 0.2896 1
O28 O 0.5517 0.9800 0.3833 1
O29 O 0.5668 0.4199 0.0366 1
O30 O 0.5684 0.6457 0.8292 1
O31 O 0.5775 0.8425 0.6058 1
O32 O 0.6051 0.9011 0.8945 1
O33 O 0.6422 0.7163 0.0843 1
O34 O 0.6496 0.1018 0.7045 1
O35 O 0.6656 0.4272 0.5631 1
O36 O 0.7290 0.9603 0.0960 1
O37 O 0.7522 0.8205 0.4075 1
O38 O 0.7566 0.4340 0.8051 1
O39 O 0.7965 0.6256 0.6194 1
O40 O 0.8259 0.9065 0.6673 1
O41 O 0.8384 0.6924 0.8702 1
O42 O 0.8423 0.1305 0.5305 1
O43 O 0.8447 0.4913 0.0915 1
O44 O 0.8579 0.2395 0.0508 1
O45 O 0.8614 0.3219 0.2926 1
O46 O 0.8974 0.1085 0.7803 1
O47 O 0.9189 0.3936 0.6140 1
O48 O 0.9736 0.6202 0.3863 1
```


Record 5
Below is an optimized crystal structure of Li3MnVP3O12, with properties calculated at the PBE with a Hubbard U level.

Summary:
V in Å³ per cell: 924.82
Energy relative to the lowest polymorph listed for this composition in meV per atom: 49

Cell and atoms, written as CIF:
```
data_Li3MnVP3O12
_symmetry_space_group_name_H-M 'P 1'
_symmetry_Int_Tables_number 1
_cell_length_a 8.7741
_cell_length_b 8.7775
_cell_length_c 14.4723
_cell_angle_alpha 73.94
_cell_angle_beta 73.94
_cell_angle_gamma 61.19
loop_
_symmetry_equiv_pos_as_xyz
'x,y,z'
loop_
_atom_site_label
_atom_site_type_symbol
_atom_site_fract_x
_atom_site_fract_y
_atom_site_fract_z
_atom_site_occupancy
Li1 Li 0.0000 0.0000 0.0000 1
Li2 Li 0.0134 0.6443 0.1103 1
Li3 Li 0.0297 0.2856 0.2252 1
Li4 Li 0.1240 0.3777 0.7496 1
Li5 Li 0.2624 0.8946 0.3634 1
Li6 Li 0.4089 0.4074 0.9729 1
Li7 Li 0.5025 0.4997 0.5000 1
Li8 Li 0.5185 0.1410 0.6130 1
Li9 Li 0.5321 0.7869 0.7246 1
Li10 Li 0.6229 0.8783 0.2480 1
Li11 Li 0.7640 0.3940 0.8628 1
Li12 Li 0.9112 0.9068 0.4746 1
Mn1 Mn 0.0873 0.7201 0.8966 1
Mn2 Mn 0.1916 0.8184 0.5769 1
Mn3 Mn 0.4448 0.0666 0.8270 1
Mn4 Mn 0.6871 0.3211 0.0770 1
V1 V 0.3407 0.9609 0.1489 1
V2 V 0.5848 0.2190 0.3990 1
V3 V 0.8445 0.4583 0.6489 1
V4 V 0.9471 0.5658 0.3247 1
P1 P 0.0861 0.3214 0.9876 1
P2 P 0.1353 0.0585 0.7434 1
P3 P 0.1852 0.5103 0.4941 1
P4 P 0.3479 0.2755 0.2297 1
P5 P 0.3976 0.7263 0.9767 1
P6 P 0.4470 0.4591 0.7381 1
P7 P 0.5908 0.8157 0.4878 1
P8 P 0.6347 0.5594 0.2416 1
P9 P 0.6817 0.0129 0.9948 1
P10 P 0.8522 0.7728 0.7297 1
P11 P 0.8981 0.2242 0.4787 1
P12 P 0.9423 0.9657 0.2373 1
O1 O 0.0463 0.0367 0.4704 1
O2 O 0.0734 0.4757 0.5925 1
O3 O 0.0754 0.5029 0.9918 1
O4 O 0.0976 0.9486 0.8426 1
O5 O 0.1072 0.5276 0.4081 1
O6 O 0.1256 0.9497 0.2422 1
O7 O 0.1544 0.9787 0.6573 1
O8 O 0.1576 0.4243 0.2251 1
O9 O 0.1612 0.1984 0.0805 1
O10 O 0.1962 0.6910 0.4783 1
O11 O 0.2008 0.2539 0.8925 1
O12 O 0.2144 0.7189 0.9925 1
O13 O 0.3155 0.0697 0.7284 1
O14 O 0.3276 0.5298 0.8314 1
O15 O 0.3375 0.0957 0.2463 1
O16 O 0.3752 0.3613 0.4982 1
O17 O 0.3791 0.5750 0.6431 1
O18 O 0.3796 0.8028 0.0637 1
O19 O 0.4081 0.8276 0.4847 1
O20 O 0.4275 0.2601 0.3147 1
O21 O 0.4342 0.8413 0.8789 1
O22 O 0.4584 0.2761 0.7350 1
O23 O 0.4583 0.3129 0.1303 1
O24 O 0.4850 0.7500 0.2459 1
O25 O 0.5436 0.5389 0.9689 1
O26 O 0.5649 0.9815 0.0925 1
O27 O 0.5740 0.9998 0.4904 1
O28 O 0.6000 0.4483 0.3409 1
O29 O 0.6056 0.0302 0.9076 1
O30 O 0.6304 0.4445 0.7410 1
O31 O 0.6492 0.4809 0.1563 1
O32 O 0.6634 0.6954 0.5811 1
O33 O 0.6642 0.9200 0.7212 1
O34 O 0.6917 0.1945 0.9790 1
O35 O 0.7102 0.7458 0.3933 1
O36 O 0.7167 0.2153 0.4967 1
O37 O 0.8134 0.5720 0.2256 1
O38 O 0.8199 0.0389 0.3304 1
O39 O 0.8437 0.5918 0.7462 1
O40 O 0.8693 0.8651 0.0025 1
O41 O 0.8764 0.0819 0.1426 1
O42 O 0.8855 0.3008 0.5644 1
O43 O 0.9025 0.3337 0.9862 1
O44 O 0.9288 0.3407 0.3804 1
O45 O 0.9292 0.7594 0.8157 1
O46 O 0.9580 0.7817 0.2351 1
O47 O 0.9662 0.8085 0.6306 1
O48 O 0.9871 0.2484 0.7475 1
```


Record 6
Below is an optimized crystal structure of Li3MnVP3O12, with properties calculated at the PBE with a Hubbard U level.

Summary:
V in Å³ per cell: 945.28
Energy relative to the lowest polymorph listed for this composition in meV per atom: 16

Cell and atoms, written as CIF:
```
data_Li3MnVP3O12
_symmetry_space_group_name_H-M 'P 1'
_symmetry_Int_Tables_number 1
_cell_length_a 8.5780
_cell_length_b 9.0219
_cell_length_c 14.5158
_cell_angle_alpha 105.51
_cell_angle_beta 90.40
_cell_angle_gamma 117.88
loop_
_symmetry_equiv_pos_as_xyz
'x,y,z'
loop_
_atom_site_label
_atom_site_type_symbol
_atom_site_fract_x
_atom_site_fract_y
_atom_site_fract_z
_atom_site_occupancy
Li1 Li 0.0000 0.0000 0.0000 1
Li2 Li 0.0226 0.9941 0.6268 1
Li3 Li 0.2724 0.2964 0.2087 1
Li4 Li 0.2975 0.2905 0.8359 1
Li5 Li 0.3399 0.2896 0.5350 1
Li6 Li 0.4516 0.9925 0.7983 1
Li7 Li 0.4935 0.9956 0.4990 1
Li8 Li 0.5261 0.9932 0.1249 1
Li9 Li 0.7721 0.2912 0.7058 1
Li10 Li 0.7956 0.2889 0.3325 1
Li11 Li 0.8404 0.2891 0.0342 1
Li12 Li 0.9535 0.9957 0.2963 1
Mn1 Mn 0.1759 0.7043 0.5962 1
Mn2 Mn 0.3748 0.0996 0.9923 1
Mn3 Mn 0.4198 0.1881 0.3411 1
Mn4 Mn 0.6735 0.7028 0.0946 1
V1 V 0.1169 0.5830 0.2397 1
V2 V 0.6129 0.5769 0.7375 1
V3 V 0.8715 0.0956 0.4922 1
V4 V 0.9201 0.1870 0.8409 1
P1 P 0.0603 0.8885 0.7894 1
P2 P 0.1262 0.8949 0.4374 1
P3 P 0.1349 0.8995 0.1463 1
P4 P 0.1647 0.3978 0.4005 1
P5 P 0.1663 0.3921 0.6873 1
P6 P 0.2243 0.3935 0.0432 1
P7 P 0.5640 0.8914 0.2903 1
P8 P 0.6287 0.8936 0.6451 1
P9 P 0.6300 0.8879 0.9360 1
P10 P 0.6664 0.3956 0.1866 1
P11 P 0.6682 0.3929 0.8970 1
P12 P 0.7244 0.3895 0.5400 1
O1 O 0.0145 0.3357 0.7498 1
O2 O 0.0427 0.0451 0.7699 1
O3 O 0.0827 0.4137 0.1053 1
O4 O 0.0875 0.7259 0.3591 1
O5 O 0.0963 0.7293 0.1662 1
O6 O 0.1071 0.2393 0.5879 1
O7 O 0.1319 0.8754 0.5400 1
O8 O 0.1385 0.9451 0.8976 1
O9 O 0.1492 0.3322 0.9334 1
O10 O 0.1569 0.4144 0.2965 1
O11 O 0.1963 0.0553 0.2468 1
O12 O 0.2013 0.8712 0.7253 1
O13 O 0.2037 0.5647 0.6712 1
O14 O 0.2038 0.5711 0.4756 1
O15 O 0.2394 0.2390 0.0653 1
O16 O 0.2861 0.9493 0.0830 1
O17 O 0.3054 0.3440 0.4173 1
O18 O 0.3195 0.0499 0.4391 1
O19 O 0.3367 0.4057 0.7346 1
O20 O 0.3848 0.7232 0.2654 1
O21 O 0.4000 0.5607 0.0670 1
O22 O 0.4620 0.8841 0.5982 1
O23 O 0.4733 0.2367 0.8955 1
O24 O 0.4897 0.9417 0.9189 1
O25 O 0.5159 0.3426 0.2492 1
O26 O 0.5491 0.0462 0.2681 1
O27 O 0.5835 0.4034 0.6030 1
O28 O 0.5905 0.7219 0.6628 1
O29 O 0.5929 0.7176 0.8605 1
O30 O 0.6107 0.2401 0.0885 1
O31 O 0.6381 0.8707 0.0405 1
O32 O 0.6381 0.9498 0.3994 1
O33 O 0.6462 0.3314 0.4301 1
O34 O 0.6594 0.4078 0.7932 1
O35 O 0.6882 0.0460 0.7455 1
O36 O 0.7061 0.5672 0.1673 1
O37 O 0.7055 0.8710 0.2289 1
O38 O 0.7085 0.5631 0.9739 1
O39 O 0.7480 0.2366 0.5607 1
O40 O 0.7828 0.9489 0.5835 1
O41 O 0.8078 0.3353 0.9130 1
O42 O 0.8231 0.0432 0.9370 1
O43 O 0.8390 0.4150 0.2355 1
O44 O 0.8836 0.7205 0.7619 1
O45 O 0.8994 0.5572 0.5622 1
O46 O 0.9673 0.8900 0.1017 1
O47 O 0.9705 0.2447 0.3997 1
O48 O 0.9852 0.9499 0.4193 1
```


no.,energy of formation from the pure elements (eV/f.u.),uncorrected energy (eV per cell),M_tot (μB per cell)
1,-105.991,-1127.33,40.00
2,-58.354,-316.71,12.00
3,-52.671,-281.29,12.00
4,-52.022,-559.99,24.00
5,-52.136,-560.45,24.00
6,-52.788,-563.06,24.00